No. 1
Computed, not measured: a relaxed structure of Sr2GeS8O28 at the PBE level of DFT.

CIF file:
```
data_Sr2GeS8O28
_space_group_name_H-M_alt 'P 1'
_space_group_IT_number 1
_cell_length_a 7.095
_cell_length_b 13.246
_cell_length_c 13.596
_cell_angle_alpha 90.00
_cell_angle_beta 114.14
_cell_angle_gamma 90.00
loop_
_space_group_symop_operation_xyz
'x,y,z'
loop_
_atom_site_label
_atom_site_type_symbol
_atom_site_fract_x
_atom_site_fract_y
_atom_site_fract_z
_atom_site_occupancy
Sr1 Sr 0.142 0.135 0.341 1
Sr2 Sr 0.142 0.365 0.841 1
Sr3 Sr 0.858 0.635 0.159 1
Sr4 Sr 0.858 0.865 0.659 1
Ge1 Ge 0.500 0.000 0.000 1
Ge2 Ge 0.500 0.500 0.500 1
S1 S 0.216 0.149 0.059 1
S2 S 0.216 0.351 0.559 1
S3 S 0.236 0.085 0.770 1
S4 S 0.236 0.415 0.270 1
S5 S 0.317 0.529 0.105 1
S6 S 0.317 0.971 0.605 1
S7 S 0.379 0.720 0.411 1
S8 S 0.379 0.780 0.911 1
S9 S 0.621 0.220 0.089 1
S10 S 0.621 0.280 0.589 1
S11 S 0.683 0.029 0.395 1
S12 S 0.683 0.471 0.895 1
S13 S 0.764 0.585 0.730 1
S14 S 0.764 0.915 0.230 1
S15 S 0.784 0.649 0.441 1
S16 S 0.784 0.851 0.941 1
O1 O 0.044 0.034 0.750 1
O2 O 0.044 0.466 0.250 1
O3 O 0.114 0.229 0.985 1
O4 O 0.114 0.271 0.485 1
O5 O 0.134 0.118 0.134 1
O6 O 0.134 0.382 0.634 1
O7 O 0.193 0.603 0.130 1
O8 O 0.193 0.897 0.630 1
O9 O 0.195 0.737 0.316 1
O10 O 0.195 0.763 0.816 1
O11 O 0.237 0.007 0.495 1
O12 O 0.237 0.493 0.995 1
O13 O 0.250 0.190 0.800 1
O14 O 0.250 0.310 0.300 1
O15 O 0.252 0.059 0.999 1
O16 O 0.252 0.441 0.499 1
O17 O 0.286 0.083 0.667 1
O18 O 0.286 0.417 0.167 1
O19 O 0.357 0.626 0.470 1
O20 O 0.357 0.874 0.970 1
O21 O 0.420 0.025 0.851 1
O22 O 0.420 0.475 0.351 1
O23 O 0.452 0.186 0.138 1
O24 O 0.452 0.314 0.638 1
O25 O 0.462 0.044 0.342 1
O26 O 0.462 0.456 0.842 1
O27 O 0.467 0.698 0.985 1
O28 O 0.467 0.802 0.485 1
O29 O 0.533 0.198 0.515 1
O30 O 0.533 0.302 0.015 1
O31 O 0.538 0.544 0.158 1
O32 O 0.538 0.956 0.658 1
O33 O 0.548 0.686 0.362 1
O34 O 0.548 0.814 0.862 1
O35 O 0.580 0.525 0.649 1
O36 O 0.580 0.975 0.149 1
O37 O 0.643 0.126 0.030 1
O38 O 0.643 0.374 0.530 1
O39 O 0.714 0.583 0.833 1
O40 O 0.714 0.917 0.333 1
O41 O 0.748 0.559 0.501 1
O42 O 0.748 0.941 0.001 1
O43 O 0.750 0.690 0.700 1
O44 O 0.750 0.810 0.200 1
O45 O 0.763 0.507 0.005 1
O46 O 0.763 0.993 0.505 1
O47 O 0.805 0.237 0.184 1
O48 O 0.805 0.263 0.684 1
O49 O 0.807 0.103 0.370 1
O50 O 0.807 0.397 0.870 1
O51 O 0.866 0.618 0.366 1
O52 O 0.866 0.882 0.866 1
O53 O 0.886 0.729 0.515 1
O54 O 0.886 0.771 0.015 1
O55 O 0.956 0.534 0.750 1
O56 O 0.956 0.966 0.250 1
```

Output
Formation enthalpy at 0 K ... -79.07 eV/f.u.
Final energy ... -6.140 eV per atom
Total energy after the MP2020 corrections ... -517.416 eV for the cell shown

No. 2
Computed, not measured: a relaxed structure of Sr2ZnGe2S6O at the PBE level of DFT.

CIF file:
```
data_Sr2ZnGe2S6O
_space_group_name_H-M_alt 'P 1'
_space_group_IT_number 1
_cell_length_a 9.539
_cell_length_b 9.539
_cell_length_c 6.260
_cell_angle_alpha 90.00
_cell_angle_beta 90.00
_cell_angle_gamma 90.00
loop_
_space_group_symop_operation_xyz
'x,y,z'
loop_
_atom_site_label
_atom_site_type_symbol
_atom_site_fract_x
_atom_site_fract_y
_atom_site_fract_z
_atom_site_occupancy
Sr1 Sr 0.160 0.340 0.001 1
Sr2 Sr 0.340 0.840 0.999 1
Sr3 Sr 0.660 0.160 0.999 1
Sr4 Sr 0.840 0.660 0.001 1
Zn1 Zn 0.000 0.000 0.500 1
Zn2 Zn 0.500 0.500 0.500 1
Ge1 Ge 0.127 0.627 0.570 1
Ge2 Ge 0.373 0.127 0.430 1
Ge3 Ge 0.627 0.873 0.430 1
Ge4 Ge 0.873 0.373 0.570 1
S1 S 0.062 0.823 0.741 1
S2 S 0.134 0.634 0.223 1
S3 S 0.177 0.062 0.259 1
S4 S 0.323 0.562 0.741 1
S5 S 0.366 0.134 0.777 1
S6 S 0.438 0.323 0.259 1
S7 S 0.562 0.677 0.259 1
S8 S 0.634 0.866 0.777 1
S9 S 0.677 0.438 0.741 1
S10 S 0.823 0.938 0.259 1
S11 S 0.866 0.366 0.223 1
S12 S 0.938 0.177 0.741 1
O1 O 0.000 0.500 0.689 1
O2 O 0.500 0.000 0.311 1
```

Output
Formation enthalpy at 0 K ... -18.82 eV/f.u.
Final energy ... -4.897 eV per atom
Total energy after the MP2020 corrections ... -124.936 eV for the cell shown
M_tot ... 0.00 μB/f.u.

No. 3
Computed, not measured: a relaxed structure of Ge2SbO6 at the PBE level of DFT.

CIF file:
```
data_Ge2SbO6
_space_group_name_H-M_alt 'P 1'
_space_group_IT_number 1
_cell_length_a 10.387
_cell_length_b 9.382
_cell_length_c 5.711
_cell_angle_alpha 90.00
_cell_angle_beta 105.73
_cell_angle_gamma 90.00
loop_
_space_group_symop_operation_xyz
'x,y,z'
loop_
_atom_site_label
_atom_site_type_symbol
_atom_site_fract_x
_atom_site_fract_y
_atom_site_fract_z
_atom_site_occupancy
Ge1 Ge 0.034 0.166 0.177 1
Ge2 Ge 0.034 0.334 0.677 1
Ge3 Ge 0.448 0.173 0.262 1
Ge4 Ge 0.448 0.327 0.762 1
Ge5 Ge 0.552 0.673 0.238 1
Ge6 Ge 0.552 0.827 0.738 1
Ge7 Ge 0.966 0.666 0.323 1
Ge8 Ge 0.966 0.834 0.823 1
Sb1 Sb 0.258 0.633 0.747 1
Sb2 Sb 0.258 0.867 0.247 1
Sb3 Sb 0.742 0.133 0.753 1
Sb4 Sb 0.742 0.367 0.253 1
O1 O 0.092 0.512 0.724 1
O2 O 0.092 0.988 0.224 1
O3 O 0.100 0.249 0.462 1
O4 O 0.100 0.251 0.962 1
O5 O 0.148 0.693 0.397 1
O6 O 0.148 0.807 0.897 1
O7 O 0.370 0.691 0.134 1
O8 O 0.370 0.809 0.634 1
O9 O 0.388 0.004 0.156 1
O10 O 0.388 0.496 0.656 1
O11 O 0.391 0.202 0.524 1
O12 O 0.391 0.298 0.024 1
O13 O 0.609 0.702 0.976 1
O14 O 0.609 0.798 0.476 1
O15 O 0.612 0.504 0.344 1
O16 O 0.612 0.996 0.844 1
O17 O 0.630 0.191 0.366 1
O18 O 0.630 0.309 0.866 1
O19 O 0.852 0.193 0.103 1
O20 O 0.852 0.307 0.603 1
O21 O 0.900 0.749 0.038 1
O22 O 0.900 0.751 0.538 1
O23 O 0.908 0.012 0.776 1
O24 O 0.908 0.488 0.276 1
```

Output
Formation enthalpy at 0 K ... -16.94 eV/f.u.
Final energy ... -6.209 eV per atom
Total energy after the MP2020 corrections ... -240.006 eV for the cell shown
Offset from the most stable computed form ... 0.0164 eV per atom
M_tot ... 0.00 μB/f.u.

No. 4
Computed, not measured: a relaxed structure of Ge2SbO6 at the PBE level of DFT.

CIF file:
```
data_Ge2SbO6
_space_group_name_H-M_alt 'P 1'
_space_group_IT_number 1
_cell_length_a 7.001
_cell_length_b 7.001
_cell_length_c 5.745
_cell_angle_alpha 103.87
_cell_angle_beta 103.87
_cell_angle_gamma 84.66
loop_
_space_group_symop_operation_xyz
'x,y,z'
loop_
_atom_site_label
_atom_site_type_symbol
_atom_site_fract_x
_atom_site_fract_y
_atom_site_fract_z
_atom_site_occupancy
Ge1 Ge 0.119 0.283 0.257 1
Ge2 Ge 0.283 0.119 0.757 1
Ge3 Ge 0.717 0.881 0.243 1
Ge4 Ge 0.881 0.717 0.743 1
Sb1 Sb 0.385 0.615 0.750 1
Sb2 Sb 0.615 0.385 0.250 1
O1 O 0.113 0.164 0.494 1
O2 O 0.113 0.598 0.810 1
O3 O 0.164 0.113 0.994 1
O4 O 0.322 0.452 0.373 1
O5 O 0.402 0.887 0.690 1
O6 O 0.452 0.322 0.873 1
O7 O 0.548 0.678 0.127 1
O8 O 0.598 0.113 0.310 1
O9 O 0.678 0.548 0.627 1
O10 O 0.836 0.887 0.006 1
O11 O 0.887 0.402 0.190 1
O12 O 0.887 0.836 0.506 1
```

Output
Formation enthalpy at 0 K ... -17.09 eV/f.u.
Final energy ... -6.225 eV per atom
Total energy after the MP2020 corrections ... -120.297 eV for the cell shown
Offset from the most stable computed form ... 0.0000 eV per atom
M_tot ... 0.00 μB/f.u.

No. 5
Computed, not measured: a relaxed structure of Sc2Ge2O7 at the PBE level of DFT.

CIF file:
```
data_Sc2Ge2O7
_space_group_name_H-M_alt 'P 1'
_space_group_IT_number 1
_cell_length_a 6.873
_cell_length_b 6.873
_cell_length_c 6.873
_cell_angle_alpha 60.00
_cell_angle_beta 60.00
_cell_angle_gamma 60.00
loop_
_space_group_symop_operation_xyz
'x,y,z'
loop_
_atom_site_label
_atom_site_type_symbol
_atom_site_fract_x
_atom_site_fract_y
_atom_site_fract_z
_atom_site_occupancy
Sc1 Sc 0.000 0.000 0.000 1
Sc2 Sc 0.000 0.000 0.500 1
Sc3 Sc 0.000 0.500 0.000 1
Sc4 Sc 0.500 0.000 0.000 1
Ge1 Ge 0.000 0.500 0.500 1
Ge2 Ge 0.500 0.000 0.500 1
Ge3 Ge 0.500 0.500 0.000 1
Ge4 Ge 0.500 0.500 0.500 1
O1 O 0.125 0.125 0.125 1
O2 O 0.167 0.167 0.583 1
O3 O 0.167 0.583 0.167 1
O4 O 0.167 0.583 0.583 1
O5 O 0.417 0.417 0.833 1
O6 O 0.417 0.833 0.417 1
O7 O 0.417 0.833 0.833 1
O8 O 0.583 0.167 0.167 1
O9 O 0.583 0.167 0.583 1
O10 O 0.583 0.583 0.167 1
O11 O 0.833 0.417 0.417 1
O12 O 0.833 0.417 0.833 1
O13 O 0.833 0.833 0.417 1
O14 O 0.875 0.875 0.875 1
```

Output
Formation enthalpy at 0 K ... -32.50 eV/f.u.
Final energy ... -7.658 eV per atom
Total energy after the MP2020 corrections ... -178.093 eV for the cell shown

> The highest final energy belongs to which entry?

Sr2ZnGe2S6O